1.
The following is a PBE+U calculation of a relaxed structure of MgFe6O6F6, from Materials Project.

Unit cell a=5.1249 b=14.6937 c=3.1404 alpha=90.00 beta=90.00 gamma=92.09
Last column: nearest neighbours and their distance in Å.
Positions (direct):
F 0.7960 0.7409 0.5000  3 Fe 2.08-2.23
Fe 0.4518 0.5242 0.5000  3 O 2.03-2.18, 2 F 2.17
F 0.1629 0.2741 0.5000  1 Mg 1.94, 2 Fe 2.14
F 0.6795 0.5914 0.0000  3 Fe 2.03-2.17
O 0.3675 0.4243 0.0000  3 Fe 1.99-2.18, 2 Mg 2.16
O 0.2946 0.7706 0.0000  3 Fe 1.93-2.04
Fe 0.4813 0.0547 0.5000  4 O 1.87-2.02
Fe 0.0281 0.9856 0.0000  5 O 2.00-2.11, 1 F 2.15
Mg 0.5034 0.3366 0.5000  4 F 1.94-2.03, 2 O 2.16
Fe 0.0161 0.6681 0.0000  3 O 1.92-2.04, 1 F 2.03
Fe 0.4679 0.8196 0.5000  3 O 1.93-2.06, 1 F 2.08
Fe 0.0227 0.3580 0.0000  1 O 1.99, 5 F 2.12-2.14
F 0.7122 0.8856 0.0000  3 Fe 2.15-2.21
O 0.3092 0.0897 0.0000  3 Fe 1.88-2.06
O 0.2625 0.9374 0.5000  4 Fe 2.02-2.11
O 0.1534 0.6112 0.5000  3 Fe 1.92-2.03
F 0.6756 0.2749 0.0000  2 Mg 2.03, 1 Fe 2.12
O 0.8397 0.0356 0.5000  3 Fe 1.87-2.00
F 0.8173 0.4232 0.5000  1 Mg 2.01, 2 Fe 2.14

Values from the calculation:
Space group: Pm, No. 6
E above lowest polymorph, meV per atom: 20

2.
The following is a PBE+U calculation of a relaxed structure of MgFe2O2F2, from Materials Project.

Unit cell a=4.0696 b=6.3544 c=3.1766 alpha=90.00 beta=90.00 gamma=89.99
Last column: nearest neighbours and their distance in Å.
Positions (direct):
F 0.2500 0.3892 0.2500  2 Mg 2.11, 2 Fe 2.35
Fe 0.2501 0.1166 0.7500  2 O 2.04
F 0.7499 0.6268 0.7500  2 Mg 2.04
Mg 0.2499 0.6083 0.7500  4 F 2.04-2.11, 2 O 2.13
O 0.7502 0.0923 0.7500  4 Fe 2.04
Fe 0.7499 0.8907 0.2500  4 O 2.04-2.07
O 0.2500 0.8316 0.2500  2 Fe 2.07, 2 Mg 2.13

Values from the calculation:
Space group: Pmm2, No. 25
E above lowest polymorph, meV per atom: 51